Entry 1:
VASP calculation (GGA-PBE) on crystalline PbCBr3N at its relaxed geometry.

Summary:
ΔE_f = -0.092 eV per atom
Uncorrected energy = -4.396 eV per atom

CIF file:
```
data_PbCBr3N
_cell_length_a 7.5594
_cell_length_b 8.6528
_cell_length_c 14.4445
_cell_angle_alpha 90.00
_cell_angle_beta 90.00
_cell_angle_gamma 90.00
_symmetry_space_group_name_H-M 'P 1'
_symmetry_Int_Tables_number 1
_symmetry_space_group_name_Hall 'P 1'
loop_
_atom_site_label
_atom_site_type_symbol
_atom_site_fract_x
_atom_site_fract_y
_atom_site_fract_z
Pb1 Pb 0.0000 0.5000 0.0000
Pb2 Pb 0.5000 0.0000 0.5000
Pb3 Pb 0.0000 0.5000 0.5000
Pb4 Pb 0.5000 0.0000 0.0000
C1 C 0.8754 0.9935 0.2500
C2 C 0.6246 0.4935 0.2500
C3 C 0.1246 0.0065 0.7500
C4 C 0.3754 0.5065 0.7500
Br1 Br 0.6379 0.9799 0.2500
Br2 Br 0.8621 0.4799 0.2500
Br3 Br 0.3621 0.0201 0.7500
Br4 Br 0.1379 0.5201 0.7500
Br5 Br 0.3087 0.2951 0.0154
Br6 Br 0.1913 0.7951 0.4846
Br7 Br 0.6913 0.7049 0.5154
Br8 Br 0.8087 0.2049 0.9846
Br9 Br 0.6913 0.7049 0.9846
Br10 Br 0.8087 0.2049 0.5154
Br11 Br 0.3087 0.2951 0.4846
Br12 Br 0.1913 0.7951 0.0154
N1 N 0.0298 0.0014 0.2500
N2 N 0.4702 0.5014 0.2500
N3 N 0.9702 0.9986 0.7500
N4 N 0.5298 0.4986 0.7500
```

---

Entry 2:
VASP calculation (GGA-PBE) on crystalline PbC2S2Br2N4 at its relaxed geometry.

Summary:
ΔE_f = 0.394 eV per atom
Uncorrected energy = -5.571 eV per atom
Polymorph energy (0 for the lowest one) = 2.324 kcal/mol of atoms

CIF file:
```
data_PbC2S2Br2N4
_cell_length_a 13.7987
_cell_length_b 4.2325
_cell_length_c 10.0869
_cell_angle_alpha 88.04
_cell_angle_beta 90.00
_cell_angle_gamma 90.00
_symmetry_space_group_name_H-M 'P 1'
_symmetry_Int_Tables_number 1
_symmetry_space_group_name_Hall 'P 1'
loop_
_atom_site_label
_atom_site_type_symbol
_atom_site_fract_x
_atom_site_fract_y
_atom_site_fract_z
Pb1 Pb 0.0925 0.8326 0.2272
Pb2 Pb 0.5925 0.1674 0.7728
C1 C 0.3805 0.1115 0.2290
C2 C 0.8805 0.8885 0.7710
C3 C 0.8109 0.0636 0.3117
C4 C 0.3109 0.9364 0.6883
S1 S 0.2965 0.1621 0.3344
S2 S 0.7965 0.8379 0.6656
S3 S 0.9520 0.3198 0.1964
S4 S 0.4520 0.6802 0.8036
Br1 Br 0.1507 0.4572 0.0186
Br2 Br 0.6507 0.5428 0.9814
Br3 Br 0.1257 0.6119 0.4759
Br4 Br 0.6257 0.3881 0.5241
N1 N 0.4786 0.0635 0.1987
N2 N 0.9786 0.9365 0.8013
N3 N 0.4177 0.0780 0.1009
N4 N 0.9177 0.9220 0.8991
N5 N 0.7451 0.8876 0.3048
N6 N 0.2451 0.1124 0.6952
N7 N 0.8831 0.2639 0.3249
N8 N 0.3831 0.7361 0.6751
```

---

Entry 3:
VASP calculation (GGA-PBE) on crystalline PbC2S2Br2N4 at its relaxed geometry.

Summary:
ΔE_f = 0.294 eV per atom
Uncorrected energy = -5.672 eV per atom
Polymorph energy (0 for the lowest one) = 0.000 kcal/mol of atoms

CIF file:
```
data_PbC2S2Br2N4
_cell_length_a 4.0055
_cell_length_b 8.2476
_cell_length_c 18.8480
_cell_angle_alpha 90.00
_cell_angle_beta 90.00
_cell_angle_gamma 81.59
_symmetry_space_group_name_H-M 'P 1'
_symmetry_Int_Tables_number 1
_symmetry_space_group_name_Hall 'P 1'
loop_
_atom_site_label
_atom_site_type_symbol
_atom_site_fract_x
_atom_site_fract_y
_atom_site_fract_z
Pb1 Pb 0.8812 0.7890 0.8349
Pb2 Pb 0.1188 0.2110 0.3349
C1 C 0.1290 0.7755 0.5870
C2 C 0.8710 0.2245 0.0870
C3 C 0.0408 0.6857 0.1772
C4 C 0.9592 0.3143 0.6772
S1 S 0.3265 0.7264 0.7142
S2 S 0.6735 0.2736 0.2142
S3 S 0.2740 0.7552 0.0450
S4 S 0.7260 0.2448 0.5450
Br1 Br 0.3807 0.0025 0.9044
Br2 Br 0.6193 0.9975 0.4044
Br3 Br 0.4921 0.5474 0.8772
Br4 Br 0.5079 0.4526 0.3772
N1 N 0.0026 0.7378 0.5340
N2 N 0.9974 0.2622 0.0340
N3 N 0.2825 0.8317 0.6418
N4 N 0.7175 0.1683 0.1418
N5 N 0.9149 0.6790 0.2344
N6 N 0.0851 0.3210 0.7344
N7 N 0.1781 0.6822 0.1165
N8 N 0.8219 0.3178 0.6165
```

---

Entry 4:
VASP calculation (GGA-PBE) on crystalline PbCSBr2N2 at its relaxed geometry.

Summary:
ΔE_f = 0.319 eV per atom
Uncorrected energy = -4.867 eV per atom
Polymorph energy (0 for the lowest one) = 6.450 kcal/mol of atoms

CIF file:
```
data_PbCSBr2N2
_cell_length_a 7.3225
_cell_length_b 17.2785
_cell_length_c 4.0048
_cell_angle_alpha 90.00
_cell_angle_beta 114.53
_cell_angle_gamma 90.00
_symmetry_space_group_name_H-M 'P 1'
_symmetry_Int_Tables_number 1
_symmetry_space_group_name_Hall 'P 1'
loop_
_atom_site_label
_atom_site_type_symbol
_atom_site_fract_x
_atom_site_fract_y
_atom_site_fract_z
Pb1 Pb 0.8651 0.5045 0.7522
Pb2 Pb 0.1349 0.0045 0.2478
C1 C 0.5445 0.2703 0.0261
C2 C 0.4555 0.7703 0.9739
S1 S 0.0957 0.4215 0.4293
S2 S 0.9043 0.9215 0.5707
Br1 Br 0.9172 0.6261 0.2906
Br2 Br 0.0828 0.1261 0.7094
Br3 Br 0.3801 0.4859 0.5618
Br4 Br 0.6199 0.9859 0.4382
N1 N 0.4204 0.3043 0.1094
N2 N 0.5796 0.8043 0.8906
N3 N 0.6710 0.2375 0.9479
N4 N 0.3290 0.7375 0.0521
```

---

Entry 5:
VASP calculation (GGA-PBE) on crystalline PbCSBr2N2 at its relaxed geometry.

Summary:
ΔE_f = 0.039 eV per atom
Uncorrected energy = -5.147 eV per atom
Polymorph energy (0 for the lowest one) = 0.000 kcal/mol of atoms

CIF file:
```
data_PbCSBr2N2
_cell_length_a 4.4113
_cell_length_b 5.6821
_cell_length_c 17.9854
_cell_angle_alpha 90.00
_cell_angle_beta 90.00
_cell_angle_gamma 95.23
_symmetry_space_group_name_H-M 'P 1'
_symmetry_Int_Tables_number 1
_symmetry_space_group_name_Hall 'P 1'
loop_
_atom_site_label
_atom_site_type_symbol
_atom_site_fract_x
_atom_site_fract_y
_atom_site_fract_z
Pb1 Pb 0.0865 0.8966 0.4847
Pb2 Pb 0.9135 0.1034 0.9847
C1 C 0.4575 0.5582 0.6959
C2 C 0.5425 0.4418 0.1959
S1 S 0.8376 0.9745 0.6818
S2 S 0.1624 0.0255 0.1818
Br1 Br 0.5926 0.8737 0.3809
Br2 Br 0.4074 0.1263 0.8809
Br3 Br 0.9248 0.3983 0.5132
Br4 Br 0.0752 0.6017 0.0132
N1 N 0.2882 0.3810 0.6962
N2 N 0.7118 0.6190 0.1962
N3 N 0.6353 0.7436 0.6974
N4 N 0.3647 0.2564 0.1974
```

---

Entry 6:
VASP calculation (GGA-PBE) on crystalline Rb2PtC4Br2N4 at its relaxed geometry.

Summary:
ΔE_f = -0.315 eV per atom
Uncorrected energy = -6.479 eV per atom

CIF file:
```
data_Rb2PtC4Br2N4
_cell_length_a 9.5792
_cell_length_b 7.4526
_cell_length_c 9.1157
_cell_angle_alpha 73.27
_cell_angle_beta 90.00
_cell_angle_gamma 90.00
_symmetry_space_group_name_H-M 'P 1'
_symmetry_Int_Tables_number 1
_symmetry_space_group_name_Hall 'P 1'
loop_
_atom_site_label
_atom_site_type_symbol
_atom_site_fract_x
_atom_site_fract_y
_atom_site_fract_z
Rb1 Rb 0.2803 0.5068 0.1198
Rb2 Rb 0.7197 0.4932 0.8802
Rb3 Rb 0.7803 0.4932 0.3802
Rb4 Rb 0.2197 0.5068 0.6198
Pt1 Pt 0.0000 0.0000 0.0000
Pt2 Pt 0.5000 0.0000 0.5000
C1 C 0.0440 0.8108 0.2020
C2 C 0.4673 0.8016 0.3928
C3 C 0.5440 0.1892 0.2980
C4 C 0.0327 0.8016 0.8928
C5 C 0.9560 0.1892 0.7980
C6 C 0.4560 0.8108 0.7020
C7 C 0.5327 0.1984 0.6072
C8 C 0.9673 0.1984 0.1072
Br1 Br 0.7549 0.9068 0.5334
Br2 Br 0.7451 0.9068 0.0334
Br3 Br 0.2549 0.0932 0.9666
Br4 Br 0.2451 0.0932 0.4666
N1 N 0.4307 0.6956 0.8166
N2 N 0.4472 0.6825 0.3349
N3 N 0.9472 0.3175 0.1651
N4 N 0.5528 0.3175 0.6651
N5 N 0.0528 0.6825 0.8349
N6 N 0.9307 0.3044 0.6834
N7 N 0.0693 0.6956 0.3166
N8 N 0.5693 0.3044 0.1834
```

---

Entry 7:
VASP calculation (GGA-PBE) on crystalline Sb2C6Br9N3 at its relaxed geometry.

Summary:
ΔE_f = 0.553 eV per atom
Uncorrected energy = -4.561 eV per atom
Polymorph energy (0 for the lowest one) = 0.000 kcal/mol of atoms

CIF file:
```
data_Sb2C6Br9N3
_cell_length_a 8.6837
_cell_length_b 10.8487
_cell_length_c 13.9838
_cell_angle_alpha 85.09
_cell_angle_beta 90.00
_cell_angle_gamma 90.00
_symmetry_space_group_name_H-M 'P 1'
_symmetry_Int_Tables_number 1
_symmetry_space_group_name_Hall 'P 1'
loop_
_atom_site_label
_atom_site_type_symbol
_atom_site_fract_x
_atom_site_fract_y
_atom_site_fract_z
Sb1 Sb 0.0565 0.8733 0.0808
Sb2 Sb 0.5565 0.1267 0.9192
Sb3 Sb 0.9227 0.1599 0.4107
Sb4 Sb 0.4227 0.8401 0.5893
C1 C 0.5217 0.7273 0.9452
C2 C 0.0217 0.2727 0.0548
C3 C 0.4815 0.2798 0.5487
C4 C 0.9815 0.7202 0.4513
C5 C 0.4774 0.8377 0.2537
C6 C 0.9774 0.1623 0.7463
C7 C 0.4140 0.0607 0.2740
C8 C 0.9140 0.9393 0.7260
C9 C 0.6978 0.6034 0.8475
C10 C 0.1978 0.3966 0.1525
C11 C 0.3015 0.3760 0.6619
C12 C 0.8015 0.6240 0.3381
Br1 Br 0.3368 0.7514 0.1735
Br2 Br 0.8368 0.2486 0.8265
Br3 Br 0.7252 0.2870 0.3123
Br4 Br 0.2252 0.7130 0.6877
Br5 Br 0.2648 0.0381 0.9943
Br6 Br 0.7648 0.9619 0.0057
Br7 Br 0.7442 0.9926 0.4928
Br8 Br 0.2442 0.0074 0.5072
Br9 Br 0.8414 0.6517 0.2027
Br10 Br 0.3414 0.3483 0.7973
Br11 Br 0.1968 0.3604 0.2884
Br12 Br 0.6968 0.6396 0.7116
Br13 Br 0.0104 0.9897 0.2464
Br14 Br 0.5104 0.0103 0.7536
Br15 Br 0.0739 0.6902 0.9684
Br16 Br 0.5739 0.3098 0.0316
Br17 Br 0.9338 0.3005 0.5554
Br18 Br 0.4338 0.6995 0.4446
N1 N 0.4317 0.9529 0.2605
N2 N 0.9317 0.0471 0.7395
N3 N 0.5993 0.6752 0.8893
N4 N 0.0993 0.3248 0.1107
N5 N 0.4048 0.3195 0.6116
N6 N 0.9048 0.6805 0.3884
```

---

Entry 8:
VASP calculation (GGA-PBE) on crystalline Sb2C6Br9N3 at its relaxed geometry.

Summary:
ΔE_f = 0.572 eV per atom
Uncorrected energy = -4.542 eV per atom
Polymorph energy (0 for the lowest one) = 0.440 kcal/mol of atoms

CIF file:
```
data_Sb2C6Br9N3
_cell_length_a 7.9512
_cell_length_b 9.9672
_cell_length_c 15.2000
_cell_angle_alpha 92.78
_cell_angle_beta 90.00
_cell_angle_gamma 90.00
_symmetry_space_group_name_H-M 'P 1'
_symmetry_Int_Tables_number 1
_symmetry_space_group_name_Hall 'P 1'
loop_
_atom_site_label
_atom_site_type_symbol
_atom_site_fract_x
_atom_site_fract_y
_atom_site_fract_z
Sb1 Sb 0.5052 0.8449 0.1467
Sb2 Sb 0.0052 0.1551 0.3533
Sb3 Sb 0.4613 0.1767 0.8550
Sb4 Sb 0.9613 0.8233 0.6450
C1 C 0.0057 0.8727 0.0536
C2 C 0.5057 0.1273 0.4464
C3 C 0.9152 0.0589 0.9577
C4 C 0.4152 0.9411 0.5423
C5 C 0.2824 0.6053 0.3717
C6 C 0.7824 0.3947 0.1283
C7 C 0.7112 0.3742 0.6274
C8 C 0.2112 0.6258 0.8726
C9 C 0.0185 0.6694 0.2932
C10 C 0.5185 0.3306 0.2068
C11 C 0.9850 0.3406 0.7054
C12 C 0.4850 0.6594 0.7946
Br1 Br 0.3355 0.6508 0.0812
Br2 Br 0.8355 0.3492 0.4188
Br3 Br 0.6786 0.3588 0.9216
Br4 Br 0.1786 0.6412 0.5784
Br5 Br 0.8608 0.7161 0.0521
Br6 Br 0.3608 0.2839 0.4479
Br7 Br 0.2151 0.3153 0.9211
Br8 Br 0.7151 0.6847 0.5789
Br9 Br 0.4946 0.6769 0.3346
Br10 Br 0.9946 0.3231 0.1654
Br11 Br 0.5002 0.3266 0.6817
Br12 Br 0.0002 0.6734 0.8183
Br13 Br 0.7954 0.0096 0.2624
Br14 Br 0.2954 0.9904 0.2376
Br15 Br 0.2265 0.0117 0.7582
Br16 Br 0.7265 0.9883 0.7418
Br17 Br 0.4982 0.9957 0.0089
Br18 Br 0.9982 0.0043 0.4911
N1 N 0.1545 0.6547 0.3268
N2 N 0.6545 0.3453 0.1732
N3 N 0.8434 0.3514 0.6772
N4 N 0.3434 0.6486 0.8228
N5 N 0.9460 0.9614 0.9997
N6 N 0.4460 0.0386 0.5003
```

---

Entry 9:
VASP calculation (GGA-PBE) on crystalline Pb2CBr2O3 at its relaxed geometry.

Summary:
ΔE_f = -1.478 eV per atom
Uncorrected energy = -5.566 eV per atom

CIF file:
```
data_Pb2CBr2O3
_cell_length_a 8.4797
_cell_length_b 8.4797
_cell_length_c 9.2321
_cell_angle_alpha 90.00
_cell_angle_beta 90.00
_cell_angle_gamma 90.00
_symmetry_space_group_name_H-M 'P 1'
_symmetry_Int_Tables_number 1
_symmetry_space_group_name_Hall 'P 1'
loop_
_atom_site_label
_atom_site_type_symbol
_atom_site_fract_x
_atom_site_fract_y
_atom_site_fract_z
Pb1 Pb 0.1636 0.6636 0.2507
Pb2 Pb 0.3364 0.1636 0.2507
Pb3 Pb 0.6636 0.8364 0.2507
Pb4 Pb 0.6636 0.8364 0.7493
Pb5 Pb 0.3364 0.1636 0.7493
Pb6 Pb 0.8364 0.3364 0.2507
Pb7 Pb 0.1636 0.6636 0.7493
Pb8 Pb 0.8364 0.3364 0.7493
C1 C 0.3242 0.8242 0.0000
C2 C 0.1758 0.3242 0.0000
C3 C 0.8242 0.6758 0.0000
C4 C 0.6758 0.1758 0.0000
Br1 Br 0.0000 0.0000 0.2366
Br2 Br 0.5000 0.5000 0.7634
Br3 Br 0.0000 0.0000 0.7634
Br4 Br 0.5000 0.5000 0.2366
Br5 Br 0.3498 0.8498 0.5000
Br6 Br 0.1502 0.3498 0.5000
Br7 Br 0.8498 0.6502 0.5000
Br8 Br 0.6502 0.1502 0.5000
O1 O 0.2140 0.7140 0.0000
O2 O 0.2860 0.2140 0.0000
O3 O 0.7140 0.7860 0.0000
O4 O 0.7860 0.2860 0.0000
O5 O 0.3728 0.8728 0.1248
O6 O 0.1272 0.3728 0.1248
O7 O 0.8728 0.6272 0.1248
O8 O 0.8728 0.6272 0.8752
O9 O 0.1272 0.3728 0.8752
O10 O 0.6272 0.1272 0.1248
O11 O 0.3728 0.8728 0.8752
O12 O 0.6272 0.1272 0.8752
```

---

Entry 10:
VASP calculation (GGA-PBE) on crystalline PrC2BrO7 at its relaxed geometry.

Summary:
ΔE_f = -1.286 eV per atom
Uncorrected energy = -6.259 eV per atom
Polymorph energy (0 for the lowest one) = 5.266 kcal/mol of atoms

CIF file:
```
data_PrC2BrO7
_cell_length_a 16.5845
_cell_length_b 6.0665
_cell_length_c 8.9919
_cell_angle_alpha 67.89
_cell_angle_beta 90.00
_cell_angle_gamma 90.00
_symmetry_space_group_name_H-M 'P 1'
_symmetry_Int_Tables_number 1
_symmetry_space_group_name_Hall 'P 1'
loop_
_atom_site_label
_atom_site_type_symbol
_atom_site_fract_x
_atom_site_fract_y
_atom_site_fract_z
Pr1 Pr 0.6079 0.3393 0.1475
Pr2 Pr 0.8921 0.3393 0.6475
Pr3 Pr 0.3921 0.6607 0.8525
Pr4 Pr 0.1079 0.6607 0.3525
C1 C 0.5300 0.8984 0.0449
C2 C 0.9700 0.8984 0.5449
C3 C 0.4700 0.1016 0.9551
C4 C 0.0300 0.1016 0.4551
C5 C 0.5743 0.8009 0.5658
C6 C 0.9257 0.8009 0.0658
C7 C 0.4257 0.1991 0.4342
C8 C 0.0743 0.1991 0.9342
Br1 Br 0.7862 0.1919 0.1304
Br2 Br 0.7138 0.1919 0.6304
Br3 Br 0.2138 0.8081 0.8696
Br4 Br 0.2862 0.8081 0.3696
O1 O 0.5211 0.7052 0.0197
O2 O 0.9789 0.7052 0.5197
O3 O 0.4789 0.2948 0.9803
O4 O 0.0211 0.2948 0.4803
O5 O 0.6067 0.9152 0.4463
O6 O 0.8933 0.9152 0.9463
O7 O 0.3933 0.0848 0.5537
O8 O 0.1067 0.0848 0.0537
O9 O 0.5817 0.9345 0.1346
O10 O 0.9183 0.9345 0.6346
O11 O 0.4183 0.0655 0.8654
O12 O 0.0817 0.0655 0.3654
O13 O 0.4618 0.3072 0.3162
O14 O 0.0382 0.3072 0.8162
O15 O 0.5382 0.6928 0.6838
O16 O 0.9618 0.6928 0.1838
O17 O 0.6831 0.4229 0.9165
O18 O 0.8169 0.4229 0.4165
O19 O 0.3169 0.5771 0.0835
O20 O 0.1831 0.5771 0.5835
O21 O 0.7249 0.5838 0.0890
O22 O 0.7751 0.5838 0.5890
O23 O 0.2751 0.4162 0.9110
O24 O 0.2249 0.4162 0.4110
O25 O 0.6483 0.4129 0.3760
O26 O 0.8517 0.4129 0.8760
O27 O 0.3517 0.5871 0.6240
O28 O 0.1483 0.5871 0.1240
```

---

Entry 11:
VASP calculation (GGA-PBE) on crystalline PrC2BrO7 at its relaxed geometry.

Summary:
ΔE_f = -1.514 eV per atom
Uncorrected energy = -6.487 eV per atom
Polymorph energy (0 for the lowest one) = 0.000 kcal/mol of atoms

CIF file:
```
data_PrC2BrO7
_cell_length_a 17.6156
_cell_length_b 6.1021
_cell_length_c 8.9938
_cell_angle_alpha 73.58
_cell_angle_beta 90.00
_cell_angle_gamma 90.00
_symmetry_space_group_name_H-M 'P 1'
_symmetry_Int_Tables_number 1
_symmetry_space_group_name_Hall 'P 1'
loop_
_atom_site_label
_atom_site_type_symbol
_atom_site_fract_x
_atom_site_fract_y
_atom_site_fract_z
Pr1 Pr 0.5975 0.3570 0.1449
Pr2 Pr 0.9025 0.3570 0.6449
Pr3 Pr 0.4025 0.6430 0.8551
Pr4 Pr 0.0975 0.6430 0.3551
C1 C 0.5272 0.9051 0.0471
C2 C 0.9728 0.9051 0.5471
C3 C 0.4728 0.0949 0.9529
C4 C 0.0272 0.0949 0.4529
C5 C 0.5775 0.7796 0.5662
C6 C 0.9225 0.7796 0.0662
C7 C 0.4225 0.2204 0.4338
C8 C 0.0775 0.2204 0.9338
Br1 Br 0.7949 0.3721 0.0232
Br2 Br 0.7051 0.3721 0.5232
Br3 Br 0.2051 0.6279 0.9768
Br4 Br 0.2949 0.6279 0.4768
O1 O 0.5182 0.7068 0.0271
O2 O 0.9818 0.7068 0.5271
O3 O 0.4818 0.2932 0.9729
O4 O 0.0182 0.2932 0.4729
O5 O 0.6120 0.8609 0.4530
O6 O 0.8880 0.8609 0.9530
O7 O 0.3880 0.1391 0.5470
O8 O 0.1120 0.1391 0.0470
O9 O 0.5750 0.9560 0.1349
O10 O 0.9250 0.9560 0.6349
O11 O 0.4250 0.0440 0.8651
O12 O 0.0750 0.0440 0.3651
O13 O 0.4579 0.2999 0.3199
O14 O 0.0421 0.2999 0.8199
O15 O 0.5421 0.7001 0.6801
O16 O 0.9579 0.7001 0.1801
O17 O 0.6665 0.3770 0.9272
O18 O 0.8335 0.3770 0.4272
O19 O 0.3335 0.6230 0.0728
O20 O 0.1665 0.6230 0.5728
O21 O 0.7169 0.5203 0.1116
O22 O 0.7831 0.5203 0.6116
O23 O 0.2831 0.4797 0.8884
O24 O 0.2169 0.4797 0.3884
O25 O 0.6210 0.3425 0.4066
O26 O 0.8790 0.3425 0.9066
O27 O 0.3790 0.6575 0.5934
O28 O 0.1210 0.6575 0.0934
```